The following is a DFT calculation (PBE+U) of a geometry-optimized NiSO4 structure.

Cell and atoms, written as POSCAR:
```
NiSO4
1.0
-2.464 -3.864 2.455
1.073 -4.703 -6.326
5.609 -2.019 2.452
Ni S O
4 4 16
direct
0.500 0.500 0.500
0.500 0.500 0.000
0.000 0.000 0.500
0.000 0.000 0.000
0.500 0.849 0.250
0.000 0.349 0.250
0.500 0.151 0.750
0.000 0.651 0.750
0.265 0.038 0.750
0.765 0.538 0.750
0.735 0.962 0.250
0.235 0.462 0.250
0.265 0.962 0.250
0.765 0.462 0.250
0.735 0.038 0.750
0.235 0.538 0.750
0.500 0.250 0.941
0.000 0.750 0.941
0.500 0.750 0.441
0.000 0.250 0.441
0.500 0.750 0.059
0.000 0.250 0.059
0.500 0.250 0.559
0.000 0.750 0.559
```

Output
Formation enthalpy at 0 K   -1712 meV per atom
Final energy   -34.7 eV per formula unit